Here is crystalline TeW2Se3 at its relaxed geometry from Materials Project. Energies are from GGA-PBE.

a b c (Å): 3.3807 3.3807 38.5506
angles (deg): 90.00 90.00 120.00
Last column: nearest neighbours and their distance in Å.
Fractional positions:
Te  0.0000  0.0000  0.0000  3 W 2.72
Te  0.0000  0.0000  0.0981  3 W 2.72
W  0.0000  0.0000  0.2369  6 Se 2.56
W  0.0000  0.0000  0.8612  6 Se 2.56
W  0.6667  0.3333  0.0491  6 Te 2.72
W  0.6667  0.3333  0.6733  6 Se 2.56
Se  0.0000  0.0000  0.6302  3 W 2.56
Se  0.0000  0.0000  0.7164  3 W 2.56
Se  0.6667  0.3333  0.1938  3 W 2.56
Se  0.6667  0.3333  0.2800  3 W 2.56
Se  0.6667  0.3333  0.8180  3 W 2.56
Se  0.6667  0.3333  0.9043  3 W 2.56

energy with MP2020 corrections: -7.242 eV/atom
crystal system: trigonal
raw total energy: -7.006 eV/atom
space group: P3m1 (156)

Here is crystalline Na2Ti4Si3S3O24 at its relaxed geometry from Materials Project. Energies are from GGA-PBE.

a b c (Å): 8.6893 8.7087 22.5361
angles (deg): 89.35 89.60 60.15
Last column: nearest neighbours and their distance in Å.
Fractional positions:
Na  0.0000  0.0000  0.0000  6 O 2.53-2.70
Na  0.0042  0.9948  0.5040  6 O 2.46-2.66
Na  0.3325  0.3349  0.3341  6 O 2.43-2.62
Na  0.3387  0.3261  0.8376  6 O 2.43-2.67
Na  0.6652  0.6712  0.6710  5 O 2.41-2.62
Na  0.6766  0.6593  0.1629  4 O 2.39-2.63
Ti  0.0071  0.0159  0.8597  3 O 1.81-1.90
Ti  0.0146  0.9964  0.3547  3 O 1.82-1.98
Ti  0.0233  0.9817  0.6464  4 O 1.82-1.98
Ti  0.3258  0.3451  0.1844  3 O 1.76-1.97
Ti  0.3387  0.3489  0.4844  3 O 1.78-1.94
Ti  0.3443  0.3363  0.9791  5 O 1.87-2.05
Ti  0.3590  0.3164  0.6888  4 O 1.80-2.01
Ti  0.6714  0.6847  0.8179  3 O 1.77-1.96
Ti  0.6743  0.6837  0.5268  3 O 1.81-1.90
Ti  0.6995  0.6509  0.3134  2 O 1.78-1.82
Ti  0.7014  0.6500  0.0226  4 O 1.80-1.96
Ti  0.9919  0.0182  0.1415  4 O 1.79-2.00
Si  0.0154  0.2825  0.2505  4 O 1.62-1.67
Si  0.0543  0.6263  0.0830  4 O 1.61-1.67
Si  0.2978  0.9979  0.7518  4 O 1.63-1.66
Si  0.3464  0.6181  0.5866  4 O 1.61-1.66
Si  0.6176  0.3444  0.0840  4 O 1.61-1.67
Si  0.6324  0.0518  0.5841  4 O 1.61-1.65
Si  0.6742  0.9582  0.9200  4 O 1.62-1.67
Si  0.9653  0.3835  0.9169  4 O 1.60-1.65
Si  0.9684  0.6645  0.4194  4 O 1.63-1.67
S  0.0097  0.7091  0.7518  4 O 1.47-1.51
S  0.0527  0.3334  0.5851  4 O 1.47-1.49
S  0.2978  0.7121  0.2518  4 O 1.46-1.52
S  0.3414  0.0453  0.0852  4 O 1.46-1.50
S  0.3868  0.6685  0.9182  4 O 1.47-1.49
S  0.3876  0.9539  0.4174  4 O 1.47-1.51
S  0.6758  0.3777  0.4180  4 O 1.46-1.50
S  0.7188  0.0005  0.2523  4 O 1.47-1.51
S  0.7218  0.2879  0.7510  4 O 1.47-1.51
O  0.0321  0.1618  0.3099  1 Si 1.66, 1 Ti 1.82
O  0.0317  0.1757  0.5907  1 S 1.48
O  0.0327  0.7930  0.8045  1 S 1.47
O  0.0375  0.8183  0.0963  1 Si 1.64
O  0.1308  0.3641  0.6383  1 S 1.47
O  0.1400  0.5002  0.1434  1 Si 1.67, 1 Ti 1.76
O  0.1588  0.3607  0.9251  1 Si 1.60
O  0.1611  0.3054  0.5306  1 S 1.49
O  0.1609  0.4856  0.4249  1 Si 1.63
O  0.1671  0.5327  0.7446  1 S 1.47
O  0.1701  0.0255  0.8090  1 Si 1.63
O  0.1704  0.8152  0.5918  1 Si 1.64
O  0.1780  0.5285  0.0266  1 Si 1.61
O  0.1798  0.0272  0.0926  1 S 1.50
O  0.1852  0.7939  0.3066  1 S 1.52
O  0.1889  0.3051  0.2466  1 Si 1.62
O  0.1961  0.9747  0.6935  1 Si 1.66, 1 Ti 1.82
O  0.2058  0.8249  0.9113  1 S 1.49
O  0.2068  0.9706  0.4118  1 S 1.51
O  0.2158  0.8197  0.1990  1 S 1.46
O  0.3058  0.5339  0.5268  1 Si 1.66, 1 Ti 1.78
O  0.3078  0.1549  0.0316  1 S 1.47
O  0.3115  0.1786  0.7435  1 Si 1.64
O  0.3159  0.5336  0.2486  1 S 1.48
O  0.3663  0.1278  0.1396  1 S 1.50
O  0.3665  0.1313  0.4229  1 S 1.47
O  0.3693  0.4954  0.6438  1 Si 1.61
O  0.3693  0.5075  0.9220  1 S 1.48
O  0.4632  0.6969  0.9720  1 S 1.47
O  0.4638  0.8448  0.4718  1 S 1.49
O  0.4738  0.6964  0.2609  1 S 1.48
O  0.4927  0.8205  0.7575  1 Si 1.63
O  0.4942  0.6420  0.8638  1 S 1.48
O  0.4941  0.8685  0.3639  1 S 1.48
O  0.4971  0.8686  0.0806  1 S 1.46
O  0.5004  0.1525  0.9258  1 Si 1.62
O  0.5038  0.3572  0.1447  1 Si 1.65, 1 Ti 1.83
O  0.5054  0.1335  0.6427  1 Si 1.64, 1 Ti 1.80
O  0.5152  0.3577  0.4221  1 S 1.49
O  0.5211  0.6360  0.5739  1 Si 1.62
O  0.5303  0.1708  0.5253  1 Si 1.64
O  0.5360  0.2996  0.0267  1 Si 1.62
O  0.5403  0.3052  0.7464  1 S 1.51
O  0.5428  0.1585  0.2478  1 S 1.47
O  0.6363  0.5188  0.0787  1 Si 1.61
O  0.6392  0.8680  0.8603  1 Si 1.67, 1 Ti 1.77
O  0.6468  0.4880  0.3636  1 S 1.49
O  0.6500  0.8547  0.5772  1 Si 1.65, 1 Ti 1.81
O  0.6962  0.8407  0.2599  1 S 1.51
O  0.7004  0.4656  0.7563  1 S 1.47
O  0.7020  0.4570  0.4710  1 S 1.46
O  0.7016  0.8298  0.9767  1 Si 1.63
O  0.7980  0.1786  0.8054  1 S 1.48
O  0.8066  0.0207  0.3060  1 S 1.49
O  0.8176  0.1659  0.0926  1 Si 1.67, 1 Ti 1.79
O  0.8252  0.0311  0.5934  1 Si 1.61
O  0.8269  0.2034  0.6974  1 S 1.47
O  0.8289  0.9659  0.1987  1 S 1.47
O  0.8336  0.4794  0.2600  1 Si 1.67, 1 Ti 1.82
O  0.8347  0.1979  0.4108  1 S 1.50
O  0.8374  0.6943  0.4755  1 Si 1.63
O  0.8411  0.4635  0.9764  1 Si 1.64, 1 Ti 1.80
O  0.8467  0.6927  0.7555  1 S 1.49
O  0.8539  0.9688  0.9075  1 Si 1.63
O  0.8574  0.6470  0.0800  1 Si 1.63
O  0.8628  0.5042  0.8584  1 Si 1.64
O  0.8682  0.6383  0.3607  1 Si 1.67, 1 Ti 1.78
O  0.8734  0.4922  0.5778  1 S 1.49
O  0.9791  0.8202  0.6968  1 S 1.51
O  0.9802  0.1892  0.1943  1 Si 1.62
O  0.9829  0.1863  0.9106  1 Si 1.65, 1 Ti 1.81
O  0.9847  0.8419  0.4084  1 Si 1.64

energy with MP2020 corrections: -7.824 eV/atom
crystal system: triclinic
raw total energy: -7.366 eV/atom
space group: P1 (1)

Here is crystalline Mg14ZrMn at its relaxed geometry from Materials Project. Energies are from GGA-PBE.

a b c (Å): 10.1368 6.3840 6.3840
angles (deg): 58.92 90.00 90.00
Last column: nearest neighbours and their distance in Å.
Fractional positions:
Mg  0.0000  0.0000  0.0000  12 Mg 3.14-3.20
Mg  0.0000  0.0019  0.4988  12 Mg 3.12-3.23
Mg  0.0000  0.4988  0.0019  12 Mg 3.12-3.23
Mg  0.0000  0.4993  0.4993  12 Mg 3.12-3.21
Mg  0.2489  0.6647  0.6647  1 Zr 3.10, 11 Mg 3.12-3.22
Mg  0.2566  0.1667  0.6698  1 Mn 3.03, 10 Mg 3.08-3.26, 1 Zr 3.08
Mg  0.2566  0.6698  0.1667  1 Mn 3.03, 10 Mg 3.08-3.26, 1 Zr 3.08
Mg  0.2612  0.1615  0.1615  1 Mn 3.06, 11 Mg 3.08-3.26
Mg  0.5000  0.5090  0.9970  8 Mg 3.06-3.21, 2 Mn 3.08-3.31, 2 Zr 3.16-3.23
Mg  0.5000  0.9970  0.5090  8 Mg 3.06-3.21, 2 Mn 3.08-3.31, 2 Zr 3.16-3.23
Mg  0.7388  0.1615  0.1615  1 Mn 3.06, 11 Mg 3.08-3.26
Mg  0.7434  0.1667  0.6698  1 Mn 3.03, 10 Mg 3.08-3.26, 1 Zr 3.08
Mg  0.7434  0.6698  0.1667  1 Mn 3.03, 10 Mg 3.08-3.26, 1 Zr 3.08
Mg  0.7511  0.6647  0.6647  1 Zr 3.10, 11 Mg 3.12-3.22
Zr  0.5000  0.5048  0.5048  10 Mg 3.08-3.23, 2 Mn 3.14
Mn  0.5000  0.9929  0.9929  10 Mg 3.03-3.31, 2 Zr 3.14

crystal system: orthorhombic
offset from the most stable computed form: 0.000 eV/atom
raw total energy: -2.441 eV/atom
space group: Amm2 (38)

It is found that the formation energy values, taken in the order of the records, are -0.651; -2.777; 0.066 eV per atom.